Record 1
Below is MnPbN2 after structural relaxation, with properties calculated at the PBE level.

ΔH_f (0 K): -1.54 kJ per mole of atoms
total magnetic moment: 0.29 μB/cell

Cell: 5.8434 7.6925 5.2839 Å, 90.00 90.00 90.00°
Closest atoms and distances in Å follow each position.
Sites, in units of the cell vectors:
N 0.2620 0.7478 0.9094  2 Mn 1.79
Pb 0.5858 0.3692 0.0050  3 N 2.48-2.63
Pb 0.0858 0.1308 0.0050  3 N 2.48-2.63
N 0.2380 0.2478 0.4094  2 Mn 1.79
N 0.7380 0.2522 0.4094  2 Mn 1.79
Mn 0.9897 0.3729 0.4884  4 N 1.79-1.80
Mn 0.4897 0.1271 0.4884  4 N 1.79-1.80
Mn 0.0103 0.6271 0.9884  4 N 1.79-1.80
N 0.5027 0.9235 0.3192  2 Mn 1.79-1.80
Pb 0.4142 0.6308 0.5050  3 N 2.48-2.63
Pb 0.9142 0.8692 0.5050  3 N 2.48-2.63
N 0.4973 0.0765 0.8192  2 Mn 1.79-1.80
Mn 0.5103 0.8729 0.9884  4 N 1.79-1.80
N 0.9973 0.4235 0.8192  2 Mn 1.79-1.80
N 0.0027 0.5765 0.3192  2 Mn 1.79-1.80
N 0.7620 0.7522 0.9094  2 Mn 1.79

Record 2
Below is Mn3Pb8N9 after structural relaxation, with properties calculated at the PBE level.

ΔH_f (0 K): 23.44 kJ per mole of atoms
total magnetic moment: 0.00 μB/cell

Cell: 7.6520 11.5783 18.6436 Å, 90.00 104.51 90.00°
Closest atoms and distances in Å follow each position.
Sites, in units of the cell vectors:
Pb 0.7413 0.1627 0.4162  3 N 2.37-2.59
Pb 0.2587 0.6627 0.0838  3 N 2.37-2.59
N 0.0218 0.2866 0.8686  1 Mn 1.69
Pb 0.0065 0.5914 0.8738  1 N 2.44
N 0.0273 0.8329 0.8756  1 Mn 1.70
Pb 0.9935 0.4086 0.1262  1 N 2.44
N 0.5549 0.9792 0.7759  1 Mn 1.69
Pb 0.4893 0.6165 0.9127  3 N 2.53-2.77
N 0.5821 0.1636 0.0942  1 Mn 1.71
N 0.9727 0.1671 0.1244  1 Mn 1.70
N 0.4179 0.6636 0.4058  1 Mn 1.71
Mn 0.3614 0.8909 0.2403  3 N 1.69-1.77
Pb 0.2917 0.3250 0.7736  3 N 2.36-2.49
Pb 0.9935 0.0914 0.6262  1 N 2.44
Pb 0.7413 0.3373 0.9162  3 N 2.37-2.59
Pb 0.7083 0.8250 0.7264  3 N 2.36-2.49
N 0.4179 0.8364 0.9058  1 Mn 1.71
Mn 0.3614 0.6091 0.7403  3 N 1.69-1.77
Pb 0.1243 0.1440 0.0287  3 N 2.35-2.59
N 0.8096 0.1322 0.7127  1 Mn 1.77
Mn 0.6386 0.3909 0.2597  3 N 1.69-1.77
Pb 0.7605 0.3463 0.7246  4 N 2.47-2.77
N 0.2213 0.6510 0.5288  1 Mn 1.76
Pb 0.8757 0.8560 0.9713  3 N 2.35-2.59
N 0.1904 0.6322 0.7873  1 Mn 1.77
N 0.9782 0.7866 0.6314  1 Mn 1.69
N 0.3703 0.1099 0.4049  1 Mn 1.67
Pb 0.7083 0.6750 0.2264  3 N 2.36-2.49
N 0.6297 0.6099 0.0951  1 Mn 1.67
N 0.5731 0.2707 0.3046  1 Mn 1.76
N 0.5731 0.2293 0.8046  1 Mn 1.76
N 0.6297 0.8901 0.5951  1 Mn 1.67
Pb 0.5104 0.0592 0.8940  4 N 2.44-2.70
Pb 0.2395 0.6537 0.2754  4 N 2.47-2.77
Mn 0.1768 0.3665 0.9287  3 N 1.67-1.72
Pb 0.1243 0.3560 0.5287  3 N 2.35-2.59
Pb 0.4893 0.8835 0.4127  3 N 2.53-2.77
Pb 0.4896 0.9408 0.1060  4 N 2.44-2.70
Pb 0.5107 0.3835 0.0873  3 N 2.53-2.77
N 0.8134 0.8420 0.4794  1 Mn 1.72
Mn 0.6386 0.1091 0.7597  3 N 1.69-1.77
Pb 0.5107 0.1165 0.5873  3 N 2.53-2.77
Pb 0.2587 0.8373 0.5838  3 N 2.37-2.59
N 0.4451 0.4792 0.7241  1 Mn 1.69
Pb 0.7605 0.1537 0.2246  4 N 2.47-2.77
Mn 0.2294 0.8143 0.9379  3 N 1.70-1.76
N 0.8134 0.6580 0.9794  1 Mn 1.72
Mn 0.2294 0.6857 0.4379  3 N 1.70-1.76
N 0.0218 0.2134 0.3686  1 Mn 1.69
N 0.9782 0.7134 0.1314  1 Mn 1.69
Mn 0.8232 0.6335 0.0713  3 N 1.67-1.72
Pb 0.0086 0.0881 0.8313  2 N 2.40
Pb 0.0086 0.4119 0.3313  2 N 2.40
Mn 0.8232 0.8665 0.5713  3 N 1.67-1.72
Pb 0.2395 0.8463 0.7754  4 N 2.47-2.77
Mn 0.1768 0.1335 0.4287  3 N 1.67-1.72
Pb 0.9914 0.5881 0.6687  2 N 2.40
N 0.5821 0.3364 0.5942  1 Mn 1.71
Mn 0.7706 0.3143 0.5621  3 N 1.70-1.76
N 0.3703 0.3901 0.9049  1 Mn 1.67
Mn 0.7706 0.1857 0.0621  3 N 1.70-1.76
N 0.0273 0.6671 0.3756  1 Mn 1.70
Pb 0.2917 0.1750 0.2736  3 N 2.36-2.49
Pb 0.9914 0.9119 0.1687  2 N 2.40
Pb 0.5104 0.4408 0.3940  4 N 2.44-2.70
Pb 0.4896 0.5592 0.6060  4 N 2.44-2.70
N 0.1866 0.3420 0.0206  1 Mn 1.72
N 0.1866 0.1580 0.5206  1 Mn 1.72
N 0.1904 0.8678 0.2873  1 Mn 1.77
N 0.5549 0.5208 0.2759  1 Mn 1.69
N 0.4269 0.7707 0.1954  1 Mn 1.76
N 0.9727 0.3329 0.6244  1 Mn 1.70
N 0.8096 0.3678 0.2127  1 Mn 1.77
N 0.4269 0.7293 0.6954  1 Mn 1.76
Pb 0.0065 0.9086 0.3738  1 N 2.44
N 0.4451 0.0208 0.2241  1 Mn 1.69
Pb 0.8757 0.6440 0.4713  3 N 2.35-2.59
N 0.7787 0.1510 0.9712  1 Mn 1.76
N 0.2213 0.8490 0.0288  1 Mn 1.76
N 0.7787 0.3490 0.4712  1 Mn 1.76

Record 3
Below is MnPb4N4 after structural relaxation, with properties calculated at the PBE level.

ΔH_f (0 K): 20.98 kJ per mole of atoms
total magnetic moment: 0.72 μB/cell

Cell: 6.3374 6.4431 9.3343 Å, 82.62 83.99 69.88°
Closest atoms and distances in Å follow each position.
Sites, in units of the cell vectors:
Mn 0.2691 0.0861 0.2104  4 N 1.70-1.78
Pb 0.2808 0.5284 0.3748  2 N 2.41-2.42
N 0.9371 0.8503 0.6547  1 Mn 1.70
N 0.5495 0.7667 0.7802  1 Mn 1.74
Pb 0.7192 0.4716 0.6252  2 N 2.41-2.42
Pb 0.8074 0.6283 0.1774  2 N 2.36-2.39
N 0.4505 0.2333 0.2198  1 Mn 1.74
Pb 0.7590 0.0085 0.4083  3 N 2.39-2.67
Pb 0.2748 0.7686 0.9865  3 N 2.33-2.56
N 0.1566 0.1384 0.0372  1 Mn 1.78
Pb 0.1926 0.3717 0.8226  2 N 2.36-2.39
N 0.5828 0.2029 0.7722  1 Mn 1.77
Mn 0.7309 0.9139 0.7896  4 N 1.70-1.78
N 0.4172 0.7971 0.2278  1 Mn 1.77
Pb 0.7252 0.2314 0.0135  3 N 2.33-2.56
Pb 0.2410 0.9915 0.5917  3 N 2.39-2.67
N 0.8434 0.8616 0.9628  1 Mn 1.78
N 0.0629 0.1497 0.3453  1 Mn 1.70